Below is a geometry-optimized NdGePd2 structure, with properties calculated at the GGA-PBE level.

a b c (Å): 7.594 7.140 5.802
angles (deg): 90.00 90.00 90.00
Fractional coordinates of all 16 atoms:
Nd: 0.024 0.250 0.145
Nd: 0.476 0.750 0.645
Nd: 0.524 0.250 0.355
Nd: 0.976 0.750 0.855
Ge: 0.122 0.750 0.357
Ge: 0.378 0.250 0.857
Ge: 0.622 0.750 0.143
Ge: 0.878 0.250 0.643
Pd: 0.181 0.053 0.589
Pd: 0.181 0.447 0.589
Pd: 0.319 0.553 0.089
Pd: 0.319 0.947 0.089
Pd: 0.681 0.053 0.911
Pd: 0.681 0.447 0.911
Pd: 0.819 0.553 0.411
Pd: 0.819 0.947 0.411

Computed properties:
The formation energy from the elements comes out at -0.87 eV/atom.